# 1
{"formula": "Mg14TiC", "functional": "PBE-GGA", "state": "optimized geometry", "space_group": "No. 187", "density_g_cm3": 1.99, "formation_enthalpy_0k_ev_per_atom": 0.311, "crystal_system": "hexagonal", "relative_energy_kcal_per_mol_atoms": 0.51, "cell": [[6.2882, 0.0000, 0.0000], [-3.1441, 5.4458, 0.0000], [0.0000, 0.0000, 9.7589]], "species": ["Mg", "Mg", "Mg", "Mg", "Mg", "Mg", "Mg", "Mg", "Mg", "Mg", "Mg", "Mg", "Mg", "Mg", "Ti", "C"], "frac_coords": [[0.0000, 0.0000, 0.2423], [0.0000, 0.0000, 0.7577], [0.0215, 0.5108, 0.2648], [0.0215, 0.5108, 0.7352], [0.3261, 0.1631, 0.5000], [0.3437, 0.1719, 0.0000], [0.4892, 0.5108, 0.2648], [0.4892, 0.5108, 0.7352], [0.4892, 0.9785, 0.2648], [0.4892, 0.9785, 0.7352], [0.8281, 0.1719, 0.0000], [0.8281, 0.6563, 0.0000], [0.8369, 0.1631, 0.5000], [0.8369, 0.6739, 0.5000], [0.3333, 0.6667, 0.0000], [0.3333, 0.6667, 0.5000]]}

=====

# 2
{"formula": "LuGaPt", "functional": "PBE-GGA", "state": "optimized geometry", "space_group": "No. 62", "density_g_cm3": 12.78, "formation_enthalpy_0k_ev_per_atom": -1.102, "crystal_system": "orthorhombic", "cell": [[6.7496, 0.0000, 0.0000], [0.0000, 4.3548, 0.0000], [0.0000, 0.0000, 7.7744]], "species": ["Lu", "Lu", "Lu", "Lu", "Ga", "Ga", "Ga", "Ga", "Pt", "Pt", "Pt", "Pt"], "frac_coords": [[0.0330, 0.2500, 0.1806], [0.4670, 0.7500, 0.6806], [0.5330, 0.2500, 0.3194], [0.9670, 0.7500, 0.8194], [0.1475, 0.2500, 0.5584], [0.3525, 0.7500, 0.0584], [0.6475, 0.2500, 0.9416], [0.8525, 0.7500, 0.4416], [0.2365, 0.7500, 0.3758], [0.2635, 0.2500, 0.8758], [0.7365, 0.7500, 0.1242], [0.7635, 0.2500, 0.6242]]}

=====

# 3
{"formula": "CoSi3P3", "functional": "PBE-GGA", "state": "optimized geometry", "e_ij_max_c_m2": 0.1, "space_group": "No. 4", "density_g_cm3": 3.61, "formation_enthalpy_0k_ev_per_atom": -0.318, "crystal_system": "monoclinic", "cell": [[5.9453, 0.0000, 0.0000], [0.0000, 5.7388, 0.0000], [-0.0267, 0.0000, 12.7338]], "species": ["Co", "Co", "Co", "Co", "Si", "Si", "Si", "Si", "Si", "Si", "Si", "Si", "Si", "Si", "Si", "Si", "P", "P", "P", "P", "P", "P", "P", "P", "P", "P", "P", "P"], "frac_coords": [[0.0067, 0.0000, 0.3786], [0.4820, 0.0688, 0.8859], [0.5180, 0.5688, 0.1141], [0.9933, 0.5000, 0.6214], [0.0645, 0.5370, 0.9274], [0.0780, 0.3680, 0.4539], [0.1732, 0.5053, 0.1804], [0.3609, 0.9504, 0.4272], [0.3726, 0.9708, 0.7227], [0.4725, 0.9373, 0.1717], [0.5275, 0.4373, 0.8283], [0.6274, 0.4708, 0.2773], [0.6391, 0.4504, 0.5728], [0.8268, 0.0053, 0.8196], [0.9220, 0.8680, 0.5461], [0.9355, 0.0370, 0.0726], [0.0254, 0.1268, 0.6737], [0.1251, 0.1423, 0.9261], [0.1313, 0.1103, 0.2197], [0.3461, 0.5774, 0.6796], [0.4147, 0.6981, 0.9502], [0.4378, 0.5525, 0.4275], [0.5622, 0.0525, 0.5725], [0.5853, 0.1981, 0.0498], [0.6539, 0.0774, 0.3204], [0.8687, 0.6103, 0.7803], [0.8749, 0.6423, 0.0739], [0.9746, 0.6268, 0.3263]]}

=====

# 4
{"formula": "Na3Zn2CuH8S4O17", "functional": "PBE-GGA", "state": "optimized geometry", "space_group": "No. 4", "density_g_cm3": 2.66, "formation_enthalpy_0k_ev_per_atom": -1.515, "energy_mp2020_ev_per_atom": -5.47, "crystal_system": "monoclinic", "cell": [[7.5853, 0.0000, 0.0000], [0.0000, 14.2812, 0.0000], [-1.4912, 0.0000, 7.7468]], "species": ["Na", "Na", "Na", "Na", "Na", "Na", "Zn", "Zn", "Zn", "Zn", "Cu", "Cu", "H", "H", "H", "H", "H", "H", "H", "H", "H", "H", "H", "H", "H", "H", "H", "H", "S", "S", "S", "S", "S", "S", "S", "S", "O", "O", "O", "O", "O", "O", "O", "O", "O", "O", "O", "O", "O", "O", "O", "O", "O", "O", "O", "O", "O", "O", "O", "O", "O", "O", "O", "O", "O", "O", "O", "O", "O", "O"], "frac_coords": [[0.0317, 0.0000, 0.3114], [0.0649, 0.2902, 0.3290], [0.3919, 0.6514, 0.7073], [0.6081, 0.1514, 0.2927], [0.9351, 0.7902, 0.6710], [0.9683, 0.5000, 0.6886], [0.2550, 0.0114, 0.8338], [0.2573, 0.2879, 0.8354], [0.7427, 0.7879, 0.1646], [0.7450, 0.5114, 0.1662], [0.2101, 0.6509, 0.2231], [0.7899, 0.1509, 0.7769], [0.1964, 0.4207, 0.0606], [0.1994, 0.8805, 0.0612], [0.3131, 0.8311, 0.9418], [0.3141, 0.4688, 0.9434], [0.3530, 0.8858, 0.6257], [0.3550, 0.4154, 0.6268], [0.4589, 0.8622, 0.3012], [0.4608, 0.4388, 0.3025], [0.5392, 0.9388, 0.6975], [0.5411, 0.3622, 0.6988], [0.6450, 0.9154, 0.3732], [0.6470, 0.3858, 0.3743], [0.6859, 0.9688, 0.0566], [0.6869, 0.3311, 0.0582], [0.8006, 0.3805, 0.9388], [0.8036, 0.9207, 0.9394], [0.0086, 0.1496, 0.0219], [0.1588, 0.5191, 0.3658], [0.1590, 0.7829, 0.3658], [0.4603, 0.6498, 0.1001], [0.5397, 0.1498, 0.8999], [0.8412, 0.0191, 0.6342], [0.8410, 0.2829, 0.6342], [0.9914, 0.6496, 0.9781], [0.0407, 0.0051, 0.6288], [0.0414, 0.2982, 0.6340], [0.0683, 0.6492, 0.8163], [0.1255, 0.2366, 0.0281], [0.1258, 0.0625, 0.0285], [0.2172, 0.4214, 0.9393], [0.2189, 0.8796, 0.9396], [0.2214, 0.4314, 0.2831], [0.2236, 0.8707, 0.2845], [0.2466, 0.7824, 0.5549], [0.2511, 0.5195, 0.5542], [0.3282, 0.1952, 0.3706], [0.3554, 0.1494, 0.7745], [0.4067, 0.9460, 0.6751], [0.4084, 0.3564, 0.6813], [0.4687, 0.5633, 0.9881], [0.4702, 0.7370, 0.9896], [0.5298, 0.2370, 0.0104], [0.5313, 0.0633, 0.0119], [0.5916, 0.8564, 0.3187], [0.5933, 0.4460, 0.3249], [0.6446, 0.6494, 0.2255], [0.6718, 0.6952, 0.6294], [0.7489, 0.0195, 0.4458], [0.7534, 0.2824, 0.4451], [0.7764, 0.3707, 0.7155], [0.7786, 0.9314, 0.7169], [0.7811, 0.3796, 0.0604], [0.7828, 0.9214, 0.0607], [0.8742, 0.5625, 0.9715], [0.8745, 0.7366, 0.9719], [0.9317, 0.1492, 0.1837], [0.9593, 0.5051, 0.3712], [0.9586, 0.7982, 0.3660]]}

=====

# 5
{"formula": "CuTeO4", "functional": "PBE-GGA", "state": "optimized geometry", "space_group": "No. 10", "density_g_cm3": 5.07, "formation_enthalpy_0k_ev_per_atom": -1.208, "energy_mp2020_ev_per_atom": -5.71, "crystal_system": "monoclinic", "cell": [[5.3558, 0.0000, 0.0000], [0.0000, 3.0062, 0.0000], [-2.2098, 0.0000, 5.1875]], "species": ["Cu", "Te", "O", "O", "O", "O"], "frac_coords": [[0.0000, 0.0000, 0.0000], [0.5000, 0.5000, 0.5000], [0.1327, 0.5000, 0.2390], [0.4038, 0.0000, 0.6817], [0.5962, 0.0000, 0.3183], [0.8673, 0.5000, 0.7610]]}

=====

# 6
{"formula": "K3AlBr6", "functional": "PBE-GGA", "state": "optimized geometry", "space_group": "No. 225", "density_g_cm3": 2.90, "formation_enthalpy_0k_ev_per_atom": -1.765, "energy_mp2020_ev_per_atom": -3.45, "crystal_system": "cubic", "cell": [[0.0000, 5.6323, 5.6323], [5.6323, 0.0000, 5.6323], [5.6323, 5.6323, 0.0000]], "species": ["K", "K", "K", "Al", "Br", "Br", "Br", "Br", "Br", "Br"], "frac_coords": [[0.0000, 0.0000, 0.0000], [0.2500, 0.2500, 0.2500], [0.7500, 0.7500, 0.7500], [0.5000, 0.5000, 0.5000], [0.2763, 0.2763, 0.7237], [0.2763, 0.7237, 0.2763], [0.2763, 0.7237, 0.7237], [0.7237, 0.2763, 0.2763], [0.7237, 0.2763, 0.7237], [0.7237, 0.7237, 0.2763]]}

=====

# 7
{"formula": "Ge", "functional": "PBE-GGA", "state": "optimized geometry", "space_group": "No. 227", "density_g_cm3": 4.45, "formation_enthalpy_0k_ev_per_atom": 0.025, "crystal_system": "cubic", "relative_energy_kcal_per_mol_atoms": 0.57, "cell": [[0.0000, 7.7268, 7.7268], [7.7268, 0.0000, 7.7268], [7.7268, 7.7268, 0.0000]], "species": ["Ge", "Ge", "Ge", "Ge", "Ge", "Ge", "Ge", "Ge", "Ge", "Ge", "Ge", "Ge", "Ge", "Ge", "Ge", "Ge", "Ge", "Ge", "Ge", "Ge", "Ge", "Ge", "Ge", "Ge", "Ge", "Ge", "Ge", "Ge", "Ge", "Ge", "Ge", "Ge", "Ge", "Ge"], "frac_coords": [[0.0052, 0.2357, 0.6295], [0.0052, 0.6295, 0.2357], [0.0052, 0.6295, 0.6295], [0.1250, 0.1250, 0.1250], [0.1513, 0.7829, 0.7829], [0.2171, 0.2171, 0.2171], [0.2171, 0.2171, 0.8487], [0.2171, 0.8487, 0.2171], [0.2357, 0.0052, 0.6295], [0.2357, 0.6295, 0.0052], [0.2357, 0.6295, 0.6295], [0.3705, 0.3705, 0.7643], [0.3705, 0.3705, 0.9948], [0.3705, 0.7643, 0.3705], [0.3705, 0.7643, 0.9948], [0.3705, 0.9948, 0.3705], [0.3705, 0.9948, 0.7643], [0.6295, 0.0052, 0.2357], [0.6295, 0.0052, 0.6295], [0.6295, 0.2357, 0.0052], [0.6295, 0.2357, 0.6295], [0.6295, 0.6295, 0.0052], [0.6295, 0.6295, 0.2357], [0.7643, 0.3705, 0.3705], [0.7643, 0.3705, 0.9948], [0.7643, 0.9948, 0.3705], [0.7829, 0.1513, 0.7829], [0.7829, 0.7829, 0.1513], [0.7829, 0.7829, 0.7829], [0.8487, 0.2171, 0.2171], [0.8750, 0.8750, 0.8750], [0.9948, 0.3705, 0.3705], [0.9948, 0.3705, 0.7643], [0.9948, 0.7643, 0.3705]]}

=====

# 8
{"formula": "LiSbSe2", "functional": "PBE-GGA", "state": "optimized geometry", "space_group": "No. 141", "density_g_cm3": 5.08, "formation_enthalpy_0k_ev_per_atom": -0.873, "energy_mp2020_ev_per_atom": -4.13, "crystal_system": "tetragonal", "cell": [[-2.8473, 2.8473, 5.7831], [2.8473, -2.8473, 5.7831], [2.8473, 2.8473, -5.7831]], "species": ["Li", "Li", "Sb", "Sb", "Se", "Se", "Se", "Se"], "frac_coords": [[0.3750, 0.6250, 0.7500], [0.6250, 0.3750, 0.2500], [0.1250, 0.8750, 0.2500], [0.8750, 0.1250, 0.7500], [0.1243, 0.3743, 0.7500], [0.3743, 0.1243, 0.2500], [0.6257, 0.8757, 0.7500], [0.8757, 0.6257, 0.2500]]}